{"formula": "SrCr2O4", "functional": "meta-GGA r2SCAN", "state": "optimized geometry", "sg": "Pmmn, No. 59", "ef_ev_per_atom": -2.662, "lattice": [[5.9314, 0.0000, 0.0000], [0.0000, 11.6027, 0.0000], [0.0000, 0.0000, 5.1471]], "species": ["Sr", "Sr", "Sr", "Sr", "Cr", "Cr", "Cr", "Cr", "Cr", "Cr", "Cr", "Cr", "O", "O", "O", "O", "O", "O", "O", "O", "O", "O", "O", "O", "O", "O", "O", "O"], "frac_coords": [[0.2500, 0.2500, 0.0449], [0.2500, 0.7500, 0.3586], [0.7500, 0.2500, 0.6414], [0.7500, 0.7500, 0.9551], [0.0000, 0.0000, 0.5000], [0.0000, 0.5000, 0.5000], [0.2500, 0.5070, 0.9965], [0.2500, 0.9930, 0.9965], [0.5000, 0.0000, 0.5000], [0.5000, 0.5000, 0.5000], [0.7500, 0.0070, 0.0035], [0.7500, 0.4930, 0.0035], [0.0031, 0.0931, 0.8350], [0.0031, 0.4069, 0.8350], [0.2500, 0.0839, 0.3280], [0.2500, 0.4161, 0.3280], [0.2500, 0.5906, 0.6644], [0.2500, 0.9094, 0.6644], [0.4969, 0.0931, 0.8350], [0.4969, 0.4069, 0.8350], [0.5031, 0.5931, 0.1650], [0.5031, 0.9069, 0.1650], [0.7500, 0.0906, 0.3356], [0.7500, 0.4094, 0.3356], [0.7500, 0.5839, 0.6720], [0.7500, 0.9161, 0.6720], [0.9969, 0.5931, 0.1650], [0.9969, 0.9069, 0.1650]]}

---

{"formula": "Al3Pt2", "functional": "meta-GGA r2SCAN", "state": "optimized geometry", "sg": "P-3m1, No. 164", "ef_ev_per_atom": -1.103, "lattice": [[4.2071, 0.0000, 0.0000], [-2.1036, 3.6435, 0.0000], [0.0000, 0.0000, 5.1890]], "species": ["Al", "Al", "Al", "Pt", "Pt"], "frac_coords": [[0.0000, 0.0000, 0.0000], [0.3333, 0.6667, 0.6468], [0.6667, 0.3333, 0.3532], [0.3333, 0.6667, 0.1661], [0.6667, 0.3333, 0.8339]]}

---

{"formula": "LiSm2Al", "functional": "meta-GGA r2SCAN", "state": "optimized geometry", "sg": "Fm-3m, No. 225", "ef_ev_per_atom": -0.230, "lattice": [[0.0000, 3.7175, 3.7175], [3.7175, 0.0000, 3.7175], [3.7175, 3.7175, 0.0000]], "species": ["Li", "Sm", "Sm", "Al"], "frac_coords": [[0.0000, 0.0000, 0.0000], [0.2500, 0.2500, 0.2500], [0.7500, 0.7500, 0.7500], [0.5000, 0.5000, 0.5000]]}

---

{"formula": "RbW3O9", "functional": "meta-GGA r2SCAN", "state": "optimized geometry", "sg": "P6_3/mmc, No. 194", "ef_ev_per_atom": -2.358, "lattice": [[7.3964, 0.0000, 0.0000], [-3.6982, 6.4055, 0.0000], [0.0000, 0.0000, 7.6255]], "species": ["Rb", "Rb", "W", "W", "W", "W", "W", "W", "O", "O", "O", "O", "O", "O", "O", "O", "O", "O", "O", "O", "O", "O", "O", "O", "O", "O"], "frac_coords": [[0.0000, 0.0000, 0.2500], [0.0000, 0.0000, 0.7500], [0.0000, 0.5000, 0.0000], [0.0000, 0.5000, 0.5000], [0.5000, 0.0000, 0.0000], [0.5000, 0.0000, 0.5000], [0.5000, 0.5000, 0.0000], [0.5000, 0.5000, 0.5000], [0.0223, 0.5111, 0.2500], [0.2109, 0.4218, 0.5133], [0.2109, 0.4218, 0.9867], [0.2109, 0.7891, 0.5133], [0.2109, 0.7891, 0.9867], [0.4218, 0.2109, 0.0133], [0.4218, 0.2109, 0.4867], [0.4889, 0.5111, 0.2500], [0.4889, 0.9777, 0.2500], [0.5111, 0.0223, 0.7500], [0.5111, 0.4889, 0.7500], [0.5782, 0.7891, 0.5133], [0.5782, 0.7891, 0.9867], [0.7891, 0.2109, 0.0133], [0.7891, 0.2109, 0.4867], [0.7891, 0.5782, 0.0133], [0.7891, 0.5782, 0.4867], [0.9777, 0.4889, 0.7500]]}